# 1
A relaxed structure of Li4Cr3FeO8. Source: Materials Project, functional PBE+U.

Computed properties:
**Excess energy over the best structure of this formula in the dataset**: 19 meV per atom
**Crystal system**: triclinic
**Calculated total energy**: -214.6 eV/cell
**Calculated formation energy**: -2.275 eV/atom

a b c (Å): 5.123 5.887 10.195
angles (deg): 90.05 99.54 106.71
Space group P-1 (No. 2)
One atom of each set of equivalent atoms:
Li1 0.000 0.000 0.000 (multiplicity 1)
Li2 0.000 0.000 0.500 (multiplicity 1)
Li3 0.000 0.249 0.251 (multiplicity 2)
Li4 0.000 0.500 0.000 (multiplicity 1)
Li5 0.000 0.500 0.500 (multiplicity 1)
Li6 0.002 0.751 0.250 (multiplicity 2)
Cr1 0.500 0.124 0.873 (multiplicity 2)
Cr2 0.500 0.374 0.127 (multiplicity 2)
Cr3 0.500 0.374 0.623 (multiplicity 2)
Fe1 0.500 0.124 0.376 (multiplicity 2)
O1 0.273 0.569 0.190 (multiplicity 2)
O2 0.274 0.318 0.939 (multiplicity 2)
O3 0.274 0.819 0.939 (multiplicity 2)
O4 0.276 0.066 0.688 (multiplicity 2)
O5 0.276 0.068 0.193 (multiplicity 2)
O6 0.276 0.315 0.438 (multiplicity 2)
O7 0.276 0.572 0.687 (multiplicity 2)
O8 0.279 0.824 0.442 (multiplicity 2)

# 2
A relaxed structure of VCrO3. Source: Materials Project, functional PBE+U.

Computed properties:
**Crystal system**: triclinic
**Calculated total energy**: -160.0 eV/cell
**Calculated formation energy**: -2.438 eV/atom

a b c (Å): 5.097 5.500 8.862
angles (deg): 74.42 89.94 62.40
Space group P1 (No. 1)
One atom of each set of equivalent atoms:
V1 0.000 0.000 0.000 (multiplicity 1)
V2 0.198 0.602 0.400 (multiplicity 1)
V3 0.446 0.105 0.147 (multiplicity 1)
V4 0.697 0.606 0.896 (multiplicity 1)
Cr1 0.246 0.504 0.746 (multiplicity 1)
Cr2 0.496 0.004 0.497 (multiplicity 1)
Cr3 0.747 0.503 0.250 (multiplicity 1)
Cr4 0.949 0.099 0.649 (multiplicity 1)
O1 0.001 0.300 0.797 (multiplicity 1)
O2 0.045 0.300 0.449 (multiplicity 1)
O3 0.397 0.804 0.695 (multiplicity 1)
O4 0.446 0.802 0.350 (multiplicity 1)
O5 0.447 0.798 0.048 (multiplicity 1)
O6 0.499 0.301 0.599 (multiplicity 1)
O7 0.502 0.300 0.296 (multiplicity 1)
O8 0.544 0.305 0.945 (multiplicity 1)
O9 0.901 0.800 0.199 (multiplicity 1)
O10 0.944 0.804 0.547 (multiplicity 1)
O11 0.947 0.803 0.849 (multiplicity 1)
O12 0.999 0.305 0.101 (multiplicity 1)

# 3
A relaxed structure of Ba3LaMgInW2O12. Source: Materials Project, functional PBE+U.

Computed properties:
**Crystal system**: trigonal
**Calculated total energy**: -412.9 eV/cell
**Calculated formation energy**: -2.721 eV/atom

a b c (Å): 5.9218 5.9218 29.3521
angles (deg): 90.00 90.00 120.00
Space group R3m (No. 160, hexagonal axes)
One atom of each set of equivalent atoms:
Ba1 0.0000 0.0000 0.0000 (multiplicity 3)
Ba2 0.0000 0.0000 0.1490 (multiplicity 3)
Ba3 0.0000 0.0000 0.5687 (multiplicity 3)
La1 0.0000 0.0000 0.4315 (multiplicity 3)
Mg1 0.0000 0.0000 0.7777 (multiplicity 3)
In1 0.0000 0.0000 0.2800 (multiplicity 3)
W1 0.0000 0.0000 0.6902 (multiplicity 3)
W2 0.0000 0.0000 0.8669 (multiplicity 3)
O1 0.0022 0.5011 0.5657 (multiplicity 9)
O2 0.0213 0.5107 0.4007 (multiplicity 9)
O3 0.1725 0.3450 0.4877 (multiplicity 9)
O4 0.1736 0.3472 0.3190 (multiplicity 9)

# 4
A relaxed structure of LiFe4P3O12. Source: Materials Project, functional PBE+U.

Computed properties:
**Excess energy over the best structure of this formula in the dataset**: 0 meV per atom
**Crystal system**: monoclinic
**Calculated total energy**: -561.4 eV/cell
**Calculated formation energy**: -2.311 eV/atom

a b c (Å): 11.892 13.116 6.587
angles (deg): 90.00 114.75 90.00
Space group C2/c (No. 15)
One atom of each set of equivalent atoms:
Li1 0.000 0.007 0.250 (multiplicity 4)
Fe1 0.000 0.267 0.250 (multiplicity 4)
Fe2 0.000 0.499 0.250 (multiplicity 4)
Fe3 0.212 0.156 0.126 (multiplicity 8)
P1 0.000 0.294 0.750 (multiplicity 4)
P2 0.221 0.110 0.618 (multiplicity 8)
O1 0.036 0.229 0.963 (multiplicity 8)
O2 0.101 0.373 0.757 (multiplicity 8)
O3 0.137 0.400 0.334 (multiplicity 8)
O4 0.154 0.164 0.387 (multiplicity 8)
O5 0.155 0.006 0.596 (multiplicity 8)
O6 0.217 0.176 0.808 (multiplicity 8)

| no. | MP2020-corrected energy (eV per atom) |
| --- | --- |
| 1 | -7.565 |
| 2 | -9.154 |
| 3 | -7.737 |
| 4 | -7.881 |